A plane-wave DFT calculation with GGA-PBE was carried out for a relaxed structure of Sr2YCu3Pb2O8.

Summary:
Calculated formation energy ... -2.036 eV per atom
Energy above the most stable polymorph in this dataset ... 2.72 kJ per mole of atoms
Symmetry ... No. 26

```
Sr2YCu3Pb2O8
1.0
-4.627 0.437 -2.622
0.508 -5.045 -1.739
-7.572 -5.077 12.517
Sr Y Cu Pb O
4 2 6 4 16
direct
0.996 0.749 0.221
0.496 0.251 0.221
0.996 0.749 0.779
0.496 0.251 0.779
0.000 0.750 0.000
0.500 0.250 0.000
0.499 0.750 0.104
0.999 0.250 0.104
0.999 0.250 0.896
0.499 0.750 0.896
0.975 0.726 0.500
0.475 0.274 0.500
0.496 0.749 0.611
0.496 0.749 0.389
0.996 0.251 0.389
0.996 0.251 0.611
0.250 0.000 0.093
0.494 0.757 0.250
0.461 0.295 0.619
0.961 0.705 0.381
0.961 0.705 0.619
0.461 0.295 0.381
0.249 0.500 0.093
0.749 0.500 0.093
0.994 0.243 0.750
0.750 0.000 0.907
0.750 0.000 0.093
0.749 0.500 0.907
0.994 0.243 0.250
0.494 0.757 0.750
0.250 0.000 0.907
0.249 0.500 0.907
```

=====

A plane-wave DFT calculation with GGA-PBE was carried out for a relaxed structure of Ba2CaCuBi2F14.

Summary:
Calculated formation energy ... -3.250 eV per atom
Symmetry ... No. 15

```
Ba2CaCuBi2F14
1.0
2.775 7.219 0.000
-2.775 7.219 0.000
0.000 0.053 16.367
Ba Ca Cu Bi F
4 2 2 4 28
direct
0.284 0.088 0.126
0.088 0.284 0.626
0.716 0.912 0.874
0.912 0.716 0.374
0.571 0.429 0.250
0.429 0.571 0.750
0.500 0.500 0.500
0.500 0.500 0.000
0.173 0.050 0.379
0.827 0.950 0.621
0.050 0.173 0.879
0.950 0.827 0.121
0.092 0.863 0.832
0.416 0.884 0.961
0.584 0.116 0.039
0.881 0.600 0.105
0.414 0.629 0.112
0.371 0.586 0.388
0.884 0.416 0.461
0.137 0.908 0.668
0.973 0.363 0.287
0.119 0.400 0.895
0.433 0.810 0.265
0.400 0.119 0.395
0.810 0.433 0.765
0.567 0.190 0.735
0.629 0.414 0.612
0.027 0.637 0.713
0.716 0.139 0.487
0.908 0.137 0.168
0.284 0.861 0.513
0.139 0.716 0.987
0.116 0.584 0.539
0.190 0.567 0.235
0.363 0.973 0.787
0.861 0.284 0.013
0.586 0.371 0.888
0.863 0.092 0.332
0.637 0.027 0.213
0.600 0.881 0.605
```

=====

A plane-wave DFT calculation with GGA-PBE was carried out for a relaxed structure of ThO2.

Summary:
Calculated formation energy ... -4.368 eV per atom
Symmetry ... No. 225

```
ThO2
1.0
0.000 2.810 2.810
2.810 0.000 2.810
2.810 2.810 0.000
Th O
1 2
direct
0.000 0.000 0.000
0.750 0.750 0.750
0.250 0.250 0.250
```

=====

A plane-wave DFT calculation with GGA-PBE was carried out for a relaxed structure of CsTi5Se8.

Summary:
Calculated formation energy ... -1.472 eV per atom
Symmetry ... No. 12

```
CsTi5Se8
1.0
1.254 -0.386 3.512
2.082 9.041 0.251
-9.598 -0.315 1.391
Cs Ti Se
1 5 8
direct
0.500 0.500 0.000
0.000 0.000 0.000
0.659 0.007 0.318
0.341 0.993 0.682
0.710 0.343 0.419
0.290 0.657 0.581
0.426 0.828 0.851
0.574 0.172 0.149
0.909 0.164 0.819
0.091 0.836 0.181
0.836 0.509 0.672
0.164 0.491 0.328
0.758 0.833 0.515
0.242 0.167 0.485
```

=====

A plane-wave DFT calculation with GGA-PBE was carried out for a relaxed structure of NaMg6W.

Summary:
Calculated formation energy ... 0.413 eV per atom
Energy above the most stable polymorph in this dataset ... 10.97 kJ per mole of atoms
Symmetry ... No. 38

```
NaMg6W
1.0
3.273 4.311 3.098
-4.716 -2.922 2.849
3.180 -3.568 1.605
Na Mg W
1 6 1
direct
0.833 0.167 0.000
0.822 0.637 0.000
0.363 0.178 0.000
0.333 0.667 0.000
0.666 0.833 0.500
0.167 0.334 0.500
0.163 0.837 0.500
0.653 0.347 0.500
```

=====

A plane-wave DFT calculation with GGA-PBE was carried out for a relaxed structure of Sc2CCl2.

Summary:
Calculated formation energy ... -1.791 eV per atom
Symmetry ... No. 164

```
Sc2CCl2
1.0
-3.282 0.014 1.060
1.251 -2.726 -1.703
2.809 -4.181 8.754
Sc C Cl
2 1 2
direct
0.667 0.333 0.622
0.333 0.667 0.378
0.000 0.000 0.500
0.667 0.333 0.213
0.333 0.667 0.787
```

=====

A plane-wave DFT calculation with GGA-PBE was carried out for a relaxed structure of Ag3SNO4.

Summary:
Calculated formation energy ... -0.585 eV per atom
Symmetry ... No. 14

```
Ag3SNO4
1.0
-0.325 2.433 8.443
6.289 -8.948 2.821
14.721 -1.343 0.954
Ag S N O
24 8 8 32
direct
0.500 0.000 0.500
0.000 0.000 0.000
0.000 0.000 0.500
0.500 0.000 0.000
0.496 0.504 0.252
0.004 0.504 0.752
0.504 0.496 0.748
0.996 0.496 0.248
0.250 0.752 0.600
0.250 0.752 0.100
0.750 0.248 0.400
0.750 0.248 0.900
0.251 0.262 0.383
0.249 0.262 0.883
0.749 0.738 0.617
0.751 0.738 0.117
0.505 0.250 0.578
0.995 0.250 0.078
0.495 0.750 0.422
0.005 0.750 0.922
0.521 0.743 0.927
0.979 0.743 0.427
0.479 0.257 0.073
0.021 0.257 0.573
0.749 0.953 0.676
0.751 0.953 0.176
0.251 0.047 0.324
0.249 0.047 0.824
0.266 0.554 0.874
0.234 0.554 0.374
0.734 0.446 0.126
0.766 0.446 0.626
0.254 0.513 0.784
0.246 0.513 0.284
0.746 0.487 0.216
0.754 0.487 0.716
0.749 0.980 0.550
0.751 0.980 0.050
0.251 0.020 0.450
0.249 0.020 0.950
0.153 0.676 0.831
0.347 0.676 0.331
0.847 0.324 0.169
0.653 0.324 0.669
0.426 0.604 0.865
0.074 0.604 0.365
0.574 0.396 0.135
0.926 0.396 0.635
0.266 0.411 0.496
0.234 0.411 0.996
0.734 0.589 0.504
0.766 0.589 0.004
0.857 0.826 0.755
0.643 0.826 0.255
0.143 0.174 0.245
0.357 0.174 0.745
0.793 0.100 0.647
0.707 0.100 0.147
0.207 0.900 0.353
0.293 0.900 0.853
0.090 0.087 0.780
0.410 0.087 0.280
0.910 0.913 0.220
0.590 0.913 0.720
0.504 0.760 0.074
0.996 0.760 0.574
0.496 0.240 0.926
0.004 0.240 0.426
0.501 0.756 0.573
0.999 0.756 0.073
0.499 0.244 0.427
0.001 0.244 0.927
```

=====

A plane-wave DFT calculation with GGA-PBE was carried out for a relaxed structure of Ba2PrTiO6.

Summary:
Calculated formation energy ... -3.220 eV per atom
Symmetry ... No. 225

```
Ba2PrTiO6
1.0
0.827 3.619 -4.866
-1.042 -2.158 -5.632
-4.829 1.986 -3.193
Ba Pr Ti O
2 1 1 6
direct
0.250 0.250 0.250
0.750 0.750 0.750
0.000 0.000 0.000
0.500 0.500 0.500
0.729 0.271 0.271
0.271 0.729 0.729
0.729 0.271 0.729
0.271 0.729 0.271
0.729 0.729 0.271
0.271 0.271 0.729
```

=====

A plane-wave DFT calculation with GGA-PBE was carried out for a relaxed structure of Nd2H5.

Summary:
Calculated formation energy ... -0.704 eV per atom
Symmetry ... No. 141

```
Nd2H5
1.0
0.287 -3.840 5.513
-6.045 -2.620 1.347
3.719 0.177 -5.600
Nd H
4 10
direct
0.497 0.997 0.500
0.747 0.747 0.000
0.003 0.503 0.500
0.253 0.253 0.000
0.375 0.356 0.481
0.875 0.894 0.519
0.644 0.125 0.019
0.106 0.625 0.981
0.375 0.894 0.019
0.875 0.356 0.981
0.644 0.625 0.519
0.106 0.125 0.481
0.250 0.750 0.500
0.500 0.500 0.000
```

=====

A plane-wave DFT calculation with GGA-PBE was carried out for a relaxed structure of CsMg14BiO16.

Summary:
Calculated formation energy ... -2.534 eV per atom
Energy above the most stable polymorph in this dataset ... 0.00 kJ per mole of atoms
Symmetry ... No. 123

```
CsMg14BiO16
1.0
8.923 0.000 0.000
0.000 8.923 0.000
0.000 0.000 4.575
Cs Mg Bi O
1 14 1 16
direct
0.000 0.000 0.000
0.000 0.500 0.000
0.500 0.000 0.000
0.000 0.259 0.500
0.000 0.741 0.500
0.500 0.235 0.500
0.500 0.765 0.500
0.259 0.000 0.500
0.235 0.500 0.500
0.741 0.000 0.500
0.765 0.500 0.500
0.245 0.245 0.000
0.245 0.755 0.000
0.755 0.245 0.000
0.755 0.755 0.000
0.500 0.500 0.000
0.286 0.000 0.000
0.240 0.500 0.000
0.714 0.000 0.000
0.760 0.500 0.000
0.252 0.252 0.500
0.252 0.748 0.500
0.748 0.252 0.500
0.748 0.748 0.500
0.000 0.000 0.500
0.000 0.500 0.500
0.500 0.000 0.500
0.500 0.500 0.500
0.000 0.286 0.000
0.000 0.714 0.000
0.500 0.240 0.000
0.500 0.760 0.000
```

=====

A plane-wave DFT calculation with GGA-PBE was carried out for a relaxed structure of MgBr2O6.

Summary:
Calculated formation energy ... -0.940 eV per atom
Energy above the most stable polymorph in this dataset ... 0.00 kJ per mole of atoms
Symmetry ... No. 12

```
MgBr2O6
1.0
-4.454 -2.274 0.600
-2.643 -0.198 -4.283
2.500 -5.661 -1.480
Mg Br O
1 2 6
direct
0.000 0.000 0.000
0.348 0.348 0.268
0.652 0.652 0.732
0.241 0.241 0.050
0.759 0.759 0.950
0.768 0.292 0.755
0.292 0.768 0.755
0.232 0.708 0.245
0.708 0.232 0.245
```

=====

A plane-wave DFT calculation with GGA-PBE was carried out for a relaxed structure of Na2HgAsBr6.

Summary:
Calculated formation energy ... -1.029 eV per atom
Symmetry ... No. 225

```
Na2HgAsBr6
1.0
7.280 -1.824 2.362
1.252 -2.413 7.384
1.914 -7.499 1.417
Na Hg As Br
2 1 1 6
direct
0.750 0.750 0.750
0.250 0.250 0.250
0.500 0.500 0.500
0.000 0.000 0.000
0.760 0.240 0.240
0.240 0.240 0.760
0.240 0.760 0.760
0.240 0.760 0.240
0.760 0.240 0.760
0.760 0.760 0.240
```